Sr2BiSbO6 after structural relaxation. Source: Materials Project, functional PBE.

total magnetization = 0.00 μB/f.u.
crystal system = cubic
space group = Fm-3m
DFT total energy = -6.076 eV per atom

Structure (POSCAR):
```
Sr2BiSbO6
1.0
0.000 4.279 4.279
4.279 0.000 4.279
4.279 4.279 0.000
Sr Bi Sb O
2 1 1 6
Direct
0.250 0.250 0.250
0.750 0.750 0.750
0.000 0.000 0.000
0.500 0.500 0.500
0.266 0.266 0.734
0.266 0.734 0.266
0.266 0.734 0.734
0.734 0.266 0.266
0.734 0.266 0.734
0.734 0.734 0.266
```